Density functional theory data (GGA-PBE) for a relaxed structure of LuReO3.

* total moment: 0.0 μB/f.u.
* SG: Pm-3m
* formation energy: -1.942 eV per atom

Lattice parameters (Å, degrees): 3.9563 3.9563 3.9563 90.00 90.00 90.00
With the nearest neighbours (Å) after each atom.
Atoms (fractional coordinates):
Lu 0.0000 0.0000 0.0000  12 O 2.80
Re 0.5000 0.5000 0.5000  6 O 1.98
O 0.5000 0.5000 0.0000  2 Re 1.98
O 0.5000 0.0000 0.5000  2 Re 1.98
O 0.0000 0.5000 0.5000  2 Re 1.98